Computed, not measured: a relaxed structure of Ca2GdSbO6 at the PBE level of DFT.

Output
V, Å³/atom: 14.7
Energy relative to the elements, meV per atom: -2880

Lattice parameters (Å, degrees): 5.9247 5.9247 5.9247 60.00 60.00 60.00
Closest atoms and distances in Å follow each position.
Fractional coordinates of all 10 atoms:
Ca 0.2500 0.2500 0.2500  12 O 2.96
Ca 0.7500 0.7500 0.7500  12 O 2.96
O 0.2638 0.7362 0.2638  1 Sb 1.98, 1 Gd 2.21
O 0.7362 0.2638 0.2638  1 Sb 1.98, 1 Gd 2.21
O 0.2638 0.2638 0.7362  1 Sb 1.98, 1 Gd 2.21
O 0.2638 0.7362 0.7362  1 Sb 1.98, 1 Gd 2.21
O 0.7362 0.2638 0.7362  1 Sb 1.98, 1 Gd 2.21
O 0.7362 0.7362 0.2638  1 Sb 1.98, 1 Gd 2.21
Gd 0.0000 0.0000 0.0000  6 O 2.21
Sb 0.5000 0.5000 0.5000  6 O 1.98



Computed, not measured: a relaxed structure of CaGdPd2 at the PBE level of DFT.

Output
V, Å³/atom: 22.0
Energy relative to the elements, meV per atom: -770

Lattice parameters (Å, degrees): 4.9946 4.9946 4.9946 60.00 60.00 60.00
Closest atoms and distances in Å follow each position.
Fractional coordinates of all 4 atoms:
Ca 0.5000 0.5000 0.5000  8 Pd 3.06
Gd 0.0000 0.0000 0.0000  8 Pd 3.06
Pd 0.2500 0.2500 0.2500  4 Gd 3.06, 4 Ca 3.06
Pd 0.7500 0.7500 0.7500  4 Gd 3.06, 4 Ca 3.06



Computed, not measured: a relaxed structure of CaGdRh2 at the PBE level of DFT.

Output
V, Å³/atom: 20.4
Energy relative to the elements, meV per atom: -585

Lattice parameters (Å, degrees): 4.8673 4.8673 4.8673 60.00 60.00 60.00
Closest atoms and distances in Å follow each position.
Fractional coordinates of all 4 atoms:
Ca 0.5000 0.5000 0.5000  8 Rh 2.98
Rh 0.7500 0.7500 0.7500  4 Gd 2.98, 4 Ca 2.98
Rh 0.2500 0.2500 0.2500  4 Ca 2.98, 4 Gd 2.98
Gd 0.0000 0.0000 0.0000  8 Rh 2.98



Computed, not measured: a relaxed structure of CaGdS2 at the PBE level of DFT.

Output
V, Å³/atom: 22.3
Energy relative to the elements, meV per atom: -2331
Total moment, μB/f.u.: 6.97

Lattice parameters (Å, degrees): 3.9775 3.9775 5.6472 90.00 90.00 90.00
Closest atoms and distances in Å follow each position.
Fractional coordinates of all 4 atoms:
Ca 0.0000 0.0000 0.0000  6 S 2.81-2.82
Gd 0.5000 0.5000 0.5000  6 S 2.81-2.82
S 0.5000 0.5000 0.0000  4 Ca 2.81, 2 Gd 2.82
S 0.0000 0.0000 0.5000  4 Gd 2.81, 2 Ca 2.82



Computed, not measured: a relaxed structure of CaGd2S4 at the PBE level of DFT.

Output
V, Å³/atom: 21.5
Energy relative to the elements, meV per atom: -2366
Total moment, μB/f.u.: 14.00
Largest piezoelectric modulus, C/m2: 0.45

Lattice parameters (Å, degrees): 7.3084 7.3084 7.3084 109.51 109.51 109.40
Closest atoms and distances in Å follow each position.
Fractional coordinates of all 14 atoms:
S 0.6197 0.0149 0.7504  4 Gd 2.79-3.03, 2 Ca 2.83-3.06
S 0.1303 0.3806 0.8952  4 Gd 2.79-3.03, 2 Ca 2.83-3.06
S 0.6194 0.5146 0.7496  4 Gd 2.79-3.03, 2 Ca 2.83-3.06
S 0.2646 0.8694 0.2496  4 Gd 2.79-3.03, 2 Ca 2.83-3.06
S 0.4854 0.2351 0.1048  4 Gd 2.79-3.03, 2 Ca 2.83-3.06
S 0.9851 0.7354 0.6048  4 Gd 2.79-3.03, 2 Ca 2.83-3.06
S 0.1306 0.3803 0.3952  4 Gd 2.79-3.03, 2 Ca 2.83-3.06
S 0.7649 0.8697 0.2504  4 Gd 2.79-3.03, 2 Ca 2.83-3.06
Gd 0.5031 0.6250 0.3781  8 S 2.79-3.03
Gd 0.2469 0.1250 0.6219  8 S 2.79-3.03
Gd 0.8750 0.4969 0.1219  8 S 2.79-3.03
Gd 0.3750 0.7531 0.8781  8 S 2.79-3.03
Ca 0.7500 0.2500 0.5000  8 S 2.83-3.06
Ca 0.0000 0.0000 0.0000  8 S 2.83-3.06



Computed, not measured: a relaxed structure of CaGe2 at the PBE level of DFT.

Output
V, Å³/atom: 23.7
Energy relative to the elements, meV per atom: -461

Lattice parameters (Å, degrees): 4.0664 4.0664 4.9707 90.00 90.00 120.00
Closest atoms and distances in Å follow each position.
Fractional coordinates of all 3 atoms:
Ca 0.0000 0.0000 0.0000  6 Ge 3.06
Ge 0.6667 0.3333 0.6064  3 Ge 2.57
Ge 0.3333 0.6667 0.3936  3 Ge 2.57



Computed, not measured: a relaxed structure of CaGe2 at the PBE level of DFT.

Output
V, Å³/atom: 24.0
Energy relative to the elements, meV per atom: -480
Total moment, μB/f.u.: 0.00

Lattice parameters (Å, degrees): 4.0493 4.0493 10.4201 78.80 78.80 60.00
Closest atoms and distances in Å follow each position.
Fractional coordinates of all 6 atoms:
Ge 0.3505 0.3505 0.9485  3 Ge 2.56
Ge 0.1852 0.1852 0.4445  3 Ge 2.60
Ge 0.6495 0.6495 0.0515  3 Ge 2.56
Ge 0.8148 0.8148 0.5555  3 Ge 2.60
Ca 0.9192 0.9192 0.2423  7 Ge 3.04-3.18
Ca 0.0808 0.0808 0.7577  7 Ge 3.04-3.18



Computed, not measured: a relaxed structure of CaGe2 at the PBE level of DFT.

Output
V, Å³/atom: 24.4
Energy relative to the elements, meV per atom: -482

Lattice parameters (Å, degrees): 4.0112 4.0112 5.7502 69.59 69.59 60.00
Closest atoms and distances in Å follow each position.
Fractional coordinates of all 3 atoms:
Ca 0.0000 0.0000 0.0000  8 Ge 3.11-3.19
Ge 0.2020 0.2020 0.3939  3 Ge 2.57
Ge 0.7980 0.7980 0.6061  3 Ge 2.57



Computed, not measured: a relaxed structure of Ca5Ge3 at the PBE level of DFT.

Output
V, Å³/atom: 27.8
Energy relative to the elements, meV per atom: -628

Lattice parameters (Å, degrees): 9.2320 9.2320 9.2320 130.49 130.49 72.63
Closest atoms and distances in Å follow each position.
Fractional coordinates of all 16 atoms:
Ca 0.6818 0.1818 0.1436  5 Ge 3.05-3.28
Ca 0.9618 0.4618 0.1436  5 Ge 3.05-3.28
Ca 0.8182 0.9618 0.5000  5 Ge 3.05-3.28
Ca 0.4618 0.3182 0.5000  5 Ge 3.05-3.28
Ca 0.5000 0.5000 0.0000  4 Ge 3.09
Ca 0.0382 0.5382 0.8564  5 Ge 3.05-3.28
Ca 0.0000 0.0000 0.0000  4 Ge 3.09
Ca 0.3182 0.8182 0.8564  5 Ge 3.05-3.28
Ca 0.1818 0.0382 0.5000  5 Ge 3.05-3.28
Ca 0.5382 0.6818 0.5000  5 Ge 3.05-3.28
Ge 0.1184 0.3816 0.5000  1 Ge 2.59
Ge 0.8816 0.6184 0.5000  1 Ge 2.59
Ge 0.3816 0.8816 0.2631  1 Ge 2.59
Ge 0.2500 0.2500 0.0000  8 Ca 3.28
Ge 0.7500 0.7500 0.0000  8 Ca 3.28
Ge 0.6184 0.1184 0.7369  1 Ge 2.59



Computed, not measured: a relaxed structure of CaGe2 at the PBE level of DFT.

Output
V, Å³/atom: 24.2
Energy relative to the elements, meV per atom: -384
Total moment, μB/f.u.: 0.00

Lattice parameters (Å, degrees): 4.2365 4.2365 4.3226 88.96 88.96 69.32
Closest atoms and distances in Å follow each position.
Fractional coordinates of all 3 atoms:
Ge 0.6791 0.6791 0.5258  3 Ge 2.51-2.61
Ge 0.3209 0.3209 0.4742  3 Ge 2.51-2.61
Ca 0.0000 0.0000 0.0000  8 Ge 3.07-3.38



Computed, not measured: a relaxed structure of Ca2Ge at the PBE level of DFT.

Output
V, Å³/atom: 28.3
Energy relative to the elements, meV per atom: -614

Lattice parameters (Å, degrees): 4.8555 7.6781 9.1006 90.00 90.00 90.00
Closest atoms and distances in Å follow each position.
Fractional coordinates of all 12 atoms:
Ca 0.7500 0.3465 0.0741  4 Ge 3.01-3.09
Ca 0.7500 0.8465 0.4259  4 Ge 3.01-3.09
Ca 0.2500 0.1535 0.5741  4 Ge 3.01-3.09
Ca 0.2500 0.0198 0.1772  3 Ge 3.13-3.27
Ca 0.7500 0.4802 0.6772  3 Ge 3.13-3.27
Ca 0.2500 0.6535 0.9259  4 Ge 3.01-3.09
Ca 0.2500 0.5198 0.3228  3 Ge 3.13-3.27
Ca 0.7500 0.9802 0.8228  3 Ge 3.13-3.27
Ge 0.2500 0.2523 0.8944  7 Ca 3.01-3.27
Ge 0.7500 0.2477 0.3944  7 Ca 3.01-3.27
Ge 0.2500 0.7523 0.6056  7 Ca 3.01-3.27
Ge 0.7500 0.7477 0.1056  7 Ca 3.01-3.27



Computed, not measured: a relaxed structure of Ca7Ge at the PBE level of DFT.

Output
V, Å³/atom: 36.4
Energy relative to the elements, meV per atom: -7
Total moment, μB/f.u.: 0.07

Lattice parameters (Å, degrees): 7.4417 7.4417 7.4417 60.00 60.00 60.00
Closest atoms and distances in Å follow each position.
Fractional coordinates of all 8 atoms:
Ca 0.0000 0.5000 0.0000  10 Ca 3.72, 2 Ge 3.72
Ca 0.5000 0.0000 0.5000  2 Ge 3.72, 10 Ca 3.72
Ca 0.5000 0.0000 0.0000  10 Ca 3.72, 2 Ge 3.72
Ca 0.0000 0.0000 0.5000  2 Ge 3.72, 10 Ca 3.72
Ca 0.0000 0.5000 0.5000  10 Ca 3.72, 2 Ge 3.72
Ca 0.5000 0.5000 0.0000  10 Ca 3.72, 2 Ge 3.72
Ca 0.5000 0.5000 0.5000  12 Ca 3.72
Ge 0.0000 0.0000 0.0000  12 Ca 3.72